No. 1
The following is a DFT calculation (r2SCAN) of crystalline ErGaAu at its relaxed geometry. Values from VASP.

The calculation puts the energy relative to the elements at -0.88 eV per atom. The value obtained for the size of the total moment is 0.00 μB per atom. Its space group is C2/m, No. 12.

Quantum ESPRESSO input file:
```
&SYSTEM
  ibrav = 0, nat = 6, ntyp = 3
/
ATOMIC_SPECIES
Er 167.26 Er.upf
Ga 69.72 Ga.upf
Au 196.97 Au.upf
ATOMIC_POSITIONS angstrom
Er -1.002 0.000 1.562
Er 6.691 0.000 3.694
Ga -0.620 0.000 4.699
Ga 6.309 0.000 0.557
Au 2.014 0.000 1.500
Au 3.675 0.000 3.756
CELL_PARAMETERS angstrom
5.172 -2.215 0.000
5.172 2.215 0.000
-4.655 0.000 5.256
```

No. 2
The following is a DFT calculation (r2SCAN) of crystalline ErInAu2 at its relaxed geometry. Values from VASP.

The calculation puts the energy relative to the elements at -0.78 eV per atom. The value obtained for the size of the total moment is 0.00 μB per atom. Its space group is Fm-3m, No. 225.

Quantum ESPRESSO input file:
```
&SYSTEM
  ibrav = 0, nat = 4, ntyp = 3
/
ATOMIC_SPECIES
Er 167.26 Er.upf
In 114.82 In.upf
Au 196.97 Au.upf
ATOMIC_POSITIONS angstrom
Er 0.000 0.000 0.000
In 3.450 3.450 3.450
Au 1.725 1.725 1.725
Au 5.174 5.174 5.174
CELL_PARAMETERS angstrom
0.000 3.450 3.450
3.450 0.000 3.450
3.450 3.450 0.000
```